BaAl2Si2O8 | Materials Project | PBE | optimized geometry; energy above the most stable polymorph in this dataset = 20 meV/atom; energy = -7.62 eV per atom; formation energy from the elements = -3434 meV per atom; ρ = 3.10 g/cm3
1.0
5.419 0.000 0.000
-2.709 4.693 0.000
0.000 0.000 7.919
Ba Al Si O
1 2 2 8
Direct
0.000 0.000 0.000 Ba
0.333 0.667 0.703 Al
0.667 0.333 0.297 Al
0.333 0.667 0.283 Si
0.667 0.333 0.717 Si
0.009 0.505 0.205 O
0.333 0.667 0.486 O
0.495 0.505 0.205 O
0.495 0.991 0.205 O
0.505 0.009 0.795 O
0.505 0.495 0.795 O
0.667 0.333 0.514 O
0.991 0.495 0.795 O

---

BaAl2Si2O8 | Materials Project | PBE | optimized geometry; energy above the most stable polymorph in this dataset = 2 meV/atom; energy = -7.63 eV per atom; formation energy from the elements = -3452 meV per atom; ρ = 3.26 g/cm3
1.0
6.733 -6.608 0.000
6.733 6.608 0.000
-1.664 0.000 8.590
Ba Al Si O
4 8 8 32
Direct
0.065 0.564 0.783 Ba
0.436 0.935 0.717 Ba
0.564 0.065 0.283 Ba
0.935 0.436 0.217 Ba
0.051 0.796 0.465 Al
0.204 0.949 0.035 Al
0.300 0.434 0.109 Al
0.434 0.300 0.609 Al
0.566 0.700 0.391 Al
0.700 0.566 0.891 Al
0.796 0.051 0.965 Al
0.949 0.204 0.535 Al
0.072 0.210 0.902 Si
0.210 0.072 0.402 Si
0.289 0.559 0.474 Si
0.441 0.711 0.026 Si
0.559 0.289 0.974 Si
0.711 0.441 0.526 Si
0.790 0.928 0.598 Si
0.928 0.790 0.098 Si
0.026 0.253 0.728 O
0.065 0.823 0.011 O
0.076 0.183 0.404 O
0.137 0.362 0.003 O
0.143 0.643 0.523 O
0.177 0.935 0.489 O
0.183 0.076 0.904 O
0.251 0.479 0.296 O
0.253 0.026 0.228 O
0.319 0.447 0.602 O
0.324 0.582 0.011 O
0.357 0.857 0.977 O
0.362 0.137 0.503 O
0.418 0.676 0.489 O
0.447 0.319 0.102 O
0.479 0.251 0.796 O
0.521 0.749 0.204 O
0.553 0.681 0.898 O
0.582 0.324 0.511 O
0.638 0.863 0.497 O
0.643 0.143 0.023 O
0.676 0.418 0.989 O
0.681 0.553 0.398 O
0.747 0.974 0.772 O
0.749 0.521 0.704 O
0.817 0.924 0.096 O
0.823 0.065 0.511 O
0.857 0.357 0.477 O
0.863 0.638 0.997 O
0.924 0.817 0.596 O
0.935 0.177 0.989 O
0.974 0.747 0.272 O